<A>
8
Lattice="-5.345 4.616 4.999 -2.119 -8.066 -2.307 3.253 -2.513 5.799" Properties=species:S:1:pos:R:3 comment="BaSr3 (PBE, optimized geometry)" volume_a3_per_atom=57.612 pbc="T T T"
Ba -3.456 -0.240 4.014
Sr -2.369 0.622 8.133
Sr -1.842 -6.585 0.358
Sr -3.430 -3.420 6.978
Ba -0.754 -5.723 4.478
Sr -0.781 -2.543 1.514
Sr -4.521 -4.272 2.863
Sr 0.310 -1.691 5.629

---

<B>
4
Lattice="-3.074 3.074 6.085 3.074 -3.074 6.085 3.074 3.074 -6.085" Properties=species:S:1:pos:R:3 comment="BaSr3 (PBE, optimized geometry)" volume_a3_per_atom=57.488 pbc="T T T"
Ba 0.000 0.000 0.000
Sr 3.074 0.000 3.042
Sr 0.000 0.000 6.085
Sr 0.000 3.074 3.042

---

Which structure is the least stable? The one labeled <A>.

---

<A>
4
Lattice="0.122 -6.773 2.661 -6.186 -1.499 3.530 1.369 2.726 -6.608" Properties=species:S:1:pos:R:3 comment="Ba3Tm (PBE, optimized geometry)" volume_a3_per_atom=51.193 pbc="T T T"
Tm 0.000 0.000 0.000
Ba -0.771 -4.092 -0.426
Ba -3.925 -1.454 0.009
Ba -3.032 -4.136 3.095

---

<B>
8
Lattice="4.171 -7.224 0.000 4.171 7.224 0.000 0.000 0.000 6.729" Properties=species:S:1:pos:R:3 comment="Ba3Tm (PBE, optimized geometry)" volume_a3_per_atom=50.682 pbc="T T T"
Ba 2.145 -1.239 5.047
Ba 4.171 4.747 1.682
Ba 2.145 1.239 1.682
Tm 4.171 -2.408 1.682
Ba 6.196 -1.239 5.047
Ba 6.196 1.239 1.682
Ba 4.171 -4.747 5.047
Tm 4.171 2.408 5.047

---

Which structure is the least stable? The one labeled <A>.